Below is an optimized crystal structure of Mg2Te3O8, with properties calculated at the GGA-PBE level.

a = 12.8238 Å, b = 5.3208 Å, c = 11.7923 Å
α = 90.00°, β = 98.42°, γ = 90.00°
Space group C2/c (No. 15)
Symmetry-distinct sites (fractional):
1 Mg 0.2319 0.1910 0.3520
2 Te 0.0000 0.1539 0.7500
3 Te 0.1378 0.1857 0.0572
4 O 0.0804 0.0675 0.3535
5 O 0.1148 0.1328 0.6369
6 O 0.2002 0.3550 0.1922
7 O 0.2366 0.4933 0.9729

Computed properties:
VASP energy	-5.652	eV/atom

Below is an optimized crystal structure of Mg4Ti5Te3O18, with properties calculated at the GGA-PBE level.

a = 14.7361 Å, b = 9.4669 Å, c = 11.0816 Å
α = 90.00°, β = 92.95°, γ = 90.00°
Space group C2/c (No. 15)
Symmetry-distinct sites (fractional):
1 Mg 0.0287 0.1609 0.0426
2 Mg 0.2035 0.3632 0.9220
3 Ti 0.0000 0.3542 0.7500
4 Ti 0.1481 0.3332 0.2928
5 Ti 0.1663 0.1938 0.5581
6 Te 0.0000 0.5000 0.0000
7 Te 0.1542 0.0246 0.8189
8 O 0.0722 0.3130 0.9244
9 O 0.0828 0.3135 0.4410
10 O 0.0850 0.2262 0.6756
11 O 0.0896 0.0272 0.4728
12 O 0.0946 0.4973 0.2585
13 O 0.1003 0.1917 0.1994
14 O 0.2337 0.1845 0.3975
15 O 0.2397 0.0470 0.6376
16 O 0.2466 0.1578 0.8948

Computed properties:
VASP energy	-7.064	eV/atom
total magnetization	8.00	μB per cell

Below is an optimized crystal structure of YTh9MgO20, with properties calculated at the GGA-PBE level.

a = 6.9018 Å, b = 7.9957 Å, c = 8.9473 Å
α = 103.13°, β = 97.20°, γ = 106.73°
Space group P1 (No. 1)
Symmetry-distinct sites (fractional):
1 Y 0.0000 0.0000 0.0000
2 Th 0.0030 0.4977 0.0060
3 Th 0.1856 0.3731 0.3872
4 Th 0.2025 0.9011 0.3945
5 Th 0.4028 0.3010 0.8006
6 Th 0.4028 0.8131 0.8318
7 Th 0.6008 0.2042 0.2019
8 Th 0.6120 0.7054 0.2033
9 Th 0.8074 0.1011 0.6059
10 Th 0.8318 0.5967 0.6111
11 Mg 0.4913 0.7230 0.5289
12 O 0.0541 0.2225 0.8487
13 O 0.0549 0.7277 0.8557
14 O 0.1545 0.1740 0.5488
15 O 0.1778 0.6741 0.5563
16 O 0.2456 0.1211 0.2463
17 O 0.2486 0.6184 0.2500
18 O 0.3544 0.0802 0.9571
19 O 0.3545 0.5774 0.9557
20 O 0.4548 0.0272 0.6575
21 O 0.4614 0.5273 0.6504
22 O 0.5530 0.4811 0.3597
23 O 0.5586 0.9907 0.3453
24 O 0.6520 0.4278 0.0518
25 O 0.6567 0.9276 0.0540
26 O 0.7400 0.8650 0.7408
27 O 0.7595 0.3757 0.7531
28 O 0.8596 0.3287 0.4539
29 O 0.8693 0.8225 0.4552
30 O 0.9471 0.2717 0.1490
31 O 0.9530 0.7734 0.1522

Computed properties:
VASP energy	-9.225	eV/atom
total magnetization	1.00	μB per cell

Below is an optimized crystal structure of YTh9MgO20, with properties calculated at the GGA-PBE level.

a = 6.9390 Å, b = 7.9960 Å, c = 8.9297 Å
α = 103.09°, β = 97.12°, γ = 107.04°
Space group P1 (No. 1)
Symmetry-distinct sites (fractional):
1 Y 0.0000 0.0000 0.0000
2 Th 0.1478 0.4169 0.3771
3 Th 0.1508 0.9173 0.3839
4 Th 0.3390 0.8053 0.7736
5 Th 0.3522 0.3133 0.7835
6 Th 0.5493 0.2266 0.1897
7 Th 0.5534 0.7237 0.1773
8 Th 0.7456 0.6240 0.5837
9 Th 0.7521 0.1209 0.5718
10 Th 0.9552 0.5253 0.9822
11 Mg 0.7141 0.1310 0.9017
12 O 0.0050 0.7426 0.8321
13 O 0.0941 0.6890 0.5287
14 O 0.0972 0.1946 0.5307
15 O 0.2028 0.6432 0.2302
16 O 0.2078 0.1445 0.2375
17 O 0.2989 0.5928 0.9292
18 O 0.3027 0.0926 0.9351
19 O 0.3905 0.0379 0.6235
20 O 0.3942 0.5425 0.6288
21 O 0.4990 0.4968 0.3340
22 O 0.5029 0.9952 0.3285
23 O 0.5997 0.4554 0.0371
24 O 0.6071 0.9479 0.0259
25 O 0.6975 0.8987 0.7327
26 O 0.6989 0.4029 0.7241
27 O 0.7995 0.3448 0.4277
28 O 0.7998 0.8456 0.4298
29 O 0.8970 0.2878 0.1240
30 O 0.9102 0.7937 0.1347
31 O 0.9904 0.2387 0.8324

Computed properties:
VASP energy	-9.245	eV/atom
total magnetization	1.00	μB per cell

It is found that the calculated volume values, taken in the order of the records, are 15.307; 12.866; 14.541; 14.569 Å³ per atom.